1.
The following is a PBE calculation of crystalline Ba2NbCu2Pb2ClO8 at its relaxed geometry, from the Materials Project database.

## Properties
ΔE_f ... -2141 meV/atom
Symmetry ... Amm2
Energy ... -6.23 eV/atom

a b c (Å): 4.011 4.011 15.949
angles (deg): 90.00 90.00 90.09
Element x y z (fractional)
Ba1 0.501 0.501 0.349
Pb1 0.500 0.500 0.119
O1 0.999 0.500 0.211
Nb1 0.988 0.988 0.500
Cu1 0.000 0.000 0.222
O2 0.999 0.500 0.789
Ba2 0.501 0.501 0.651
O3 0.955 0.479 0.500
O4 0.479 0.955 0.500
Pb2 0.500 0.500 0.881
O5 0.993 0.993 0.375
O6 0.993 0.993 0.625
Cu2 0.000 0.000 0.778
Cl1 0.000 0.000 0.000
O7 0.500 0.999 0.211
O8 0.500 0.999 0.789

---

2.
The following is a PBE calculation of crystalline Pr2Mn4Co13 at its relaxed geometry, from the Materials Project database.

## Properties
ΔE_f ... 14 meV/atom
Symmetry ... R3m
Energy ... -7.28 eV/atom

a b c (Å): 6.420 6.420 6.420
angles (deg): 82.88 82.88 82.88
Element x y z (fractional)
Mn1 0.094 0.094 0.094
Co1 0.715 0.000 0.284
Co2 0.843 0.342 0.342
Co3 0.342 0.342 0.843
Co4 0.000 0.284 0.715
Co5 0.342 0.843 0.342
Pr1 0.659 0.659 0.659
Co6 0.000 0.715 0.284
Co7 0.284 0.715 0.000
Mn2 0.996 0.996 0.507
Mn3 0.996 0.507 0.996
Co8 0.658 0.658 0.161
Co9 0.658 0.161 0.658
Co10 0.903 0.903 0.903
Co11 0.161 0.658 0.658
Pr2 0.342 0.342 0.342
Co12 0.715 0.284 0.000
Mn4 0.507 0.996 0.996
Co13 0.284 0.000 0.715

---

3.
The following is a PBE calculation of crystalline UP2H8C2NO8 at its relaxed geometry, from the Materials Project database.

## Properties
ΔE_f ... -1289 meV/atom
Symmetry ... P2_1/c
Energy ... -6.30 eV/atom

a b c (Å): 8.863 12.029 12.850
angles (deg): 90.00 127.66 90.00
Element x y z (fractional)
H1 0.400 0.988 0.802
H2 0.464 0.117 0.877
H3 0.536 0.883 0.123
H4 0.773 0.909 0.044
H5 0.379 0.852 0.300
H6 0.388 0.211 0.563
H7 0.773 0.591 0.544
N1 0.616 0.620 0.804
O1 0.976 0.747 0.644
C1 0.519 0.684 0.835
U1 0.064 0.136 0.227
O2 0.317 0.332 0.832
N2 0.384 0.380 0.196
C2 0.518 0.563 0.686
C3 0.481 0.184 0.665
H8 0.379 0.648 0.800
P1 0.173 0.605 0.950
C4 0.482 0.437 0.314
O3 0.103 0.950 0.178
H9 0.470 0.759 0.768
C5 0.518 0.937 0.186
H10 0.612 0.789 0.437
O4 0.897 0.050 0.822
H11 0.682 0.146 0.555
N3 0.384 0.120 0.696
P2 0.947 0.634 0.580
U2 0.064 0.364 0.727
O5 0.024 0.253 0.356
N4 0.616 0.880 0.304
P3 0.053 0.366 0.420
O6 0.068 0.358 0.545
H12 0.600 0.488 0.698
H13 0.682 0.354 0.055
O7 0.932 0.642 0.455
U3 0.936 0.636 0.273
H14 0.318 0.646 0.945
H15 0.600 0.012 0.198
C6 0.481 0.316 0.165
H16 0.536 0.617 0.623
H17 0.635 0.050 0.865
O8 0.000 0.317 0.139
H18 0.530 0.241 0.232
H19 0.365 0.950 0.135
H20 0.464 0.383 0.377
C7 0.519 0.816 0.335
C8 0.482 0.063 0.814
O9 0.245 0.607 0.093
O10 0.877 0.987 0.607
H21 0.635 0.450 0.365
O11 0.755 0.107 0.407
H22 0.621 0.148 0.700
O12 0.024 0.247 0.856
H23 0.318 0.854 0.445
O13 0.000 0.683 0.861
P4 0.053 0.134 0.920
P5 0.173 0.895 0.450
H24 0.365 0.550 0.635
H25 0.470 0.741 0.268
H26 0.621 0.352 0.200
O14 0.123 0.013 0.393
O15 0.317 0.168 0.332
H27 0.530 0.259 0.732
O16 0.191 0.892 0.877
O17 0.932 0.858 0.955
O18 0.000 0.817 0.361
O19 0.123 0.487 0.893
O20 0.897 0.450 0.322
O21 0.809 0.108 0.123
H28 0.612 0.711 0.937
O22 0.877 0.513 0.107
P6 0.827 0.105 0.550
O23 0.103 0.550 0.678
H29 0.227 0.409 0.456
P7 0.827 0.395 0.050
H30 0.227 0.091 0.956
U4 0.936 0.864 0.773
O24 0.976 0.753 0.144
P8 0.947 0.866 0.080
O25 0.191 0.608 0.377
O26 0.809 0.392 0.623
O27 0.245 0.893 0.593
O28 0.755 0.393 0.907
O29 0.683 0.832 0.668
O30 0.068 0.142 0.045
O31 0.683 0.668 0.168
O32 0.000 0.183 0.639
H31 0.388 0.289 0.063
H32 0.400 0.512 0.302